(1)
Below is a geometry-optimized Na3Pr5Cl18 structure, with properties calculated at the r²SCAN level.

## Properties
* magnetization: 0.00 μB/f.u.
* energy of formation from the pure elements: -2.45 eV/atom
* crystal system: hexagonal

a b c (Å): 7.5751 7.5751 12.8400
angles (deg): 90.00 90.00 120.00
Closest atoms and distances in Å follow each position.
Space group P-6 (No. 174)
One atom of each set of equivalent atoms:
Na  0.0000  0.0000  0.0000 x1  9 Cl 2.97-3.10
Na  0.6667  0.3333  0.1535 x2  3 Cl 2.73
Pr  0.0000  0.0000  0.3328 x2  9 Cl 2.88-3.00
Pr  0.3333  0.6667  0.1642 x2  9 Cl 2.91-2.96
Pr  0.3333  0.6667  0.5000 x1  9 Cl 2.92-2.97
Cl  0.0460  0.6158  0.0000 x3  2 Pr 2.91, 3 Na 3.10-3.25
Cl  0.0548  0.6345  0.3341 x6  3 Pr 2.92-3.00
Cl  0.2745  0.0219  0.1711 x6  2 Na 2.73-2.97, 2 Pr 2.88-2.94
Cl  0.2739  0.0258  0.5000 x3  3 Pr 2.92-2.97



(2)
Below is a geometry-optimized NaScCl4 structure, with properties calculated at the r²SCAN level.

## Properties
* magnetization: 0.00 μB/f.u.
* energy of formation from the pure elements: -2.24 eV/atom
* crystal system: orthorhombic

a b c (Å): 6.2048 15.5050 6.3751
angles (deg): 90.00 90.00 90.00
Closest atoms and distances in Å follow each position.
Space group Pbcn (No. 60)
One atom of each set of equivalent atoms:
Na  0.0000  0.1804  0.2500 x4  6 Cl 2.78-2.87
Sc  0.0000  0.4293  0.2500 x4  6 Cl 2.41-2.59
Cl  0.2252  0.4496  0.5746 x8  2 Sc 2.52-2.59
Cl  0.2340  0.3212  0.1033 x8  1 Sc 2.41